Entry from the Materials Project database: an optimized crystal structure of Bi2O3 (GGA-PBE).

The space group is Pm (No. 6) and the conventional cell measures 4.3192, 3.7278 and 5.7166 Å, with angles of 90.00, 92.66 and 90.00 degrees. The distinct sites, in fractional coordinates, are Bi at (0.0000, 0.0000, 0.0000), Bi at (0.4376, 0.5000, 0.4443), O at (0.1909, 0.5000, 0.7939), O at (0.4418, 0.0000, 0.2153) and O at (0.9775, 0.5000, 0.2679).

Its largest piezoelectric modulus is 1.5 C/m². The value obtained for the volume is 91.9 Å³/f.u. For the total energy, the calculation gives -0.208 Ha/atom.

Entry from the Materials Project database: an optimized crystal structure of BiO2 (GGA-PBE).

The space group is Fd-3m (No. 227, origin choice 2) and the conventional cell measures 9.9310, 9.9310 and 9.9310 Å, with angles of 90.00, 90.00 and 90.00 degrees. The distinct sites, in fractional coordinates, are Bi at (0.0000, 0.0000, 0.0000) and O at (0.0205, 0.0205, 0.2295).

The value obtained for the volume is 61.2 Å³/f.u. For the total energy, the calculation gives -0.197 Ha/atom. The energy above the most stable polymorph in this dataset is 244.7 meV per atom.

- Number 2 is which compound?
  BiO2

- What is the volume in the second record?
  61.2 Å³/f.u.

- The highest volume belongs to which entry?
  Bi2O3